CuHOF | r²SCAN | optimized geometry

E_tot (eV per atom): -7.1658
M_tot (μB/cell): 4.0
Calculated formation energy (eV/atom): -1.316

Cell: 5.0410 6.3473 5.2829 Å, 90.00 113.56 90.00°
Space group P2_1/c (No. 14)
Inequivalent atoms, fractional coordinates:
Cu1 0.0113 0.1209 0.2426
H1 0.3898 0.6370 0.7497
O1 0.1745 0.6384 0.6635
F1 0.2728 0.1130 0.6302